#a
Here is a relaxed structure of HfMg6VO8 from the Materials Project. Energies are from PBE with a Hubbard U.

Structure (POSCAR):
```
HfMg6VO8
1.0
-3.3457 7.7094 2.6858
-2.0807 0.4151 -3.7836
-3.4325 -2.0682 1.6607
Hf Mg V O
1 6 1 8
direct
0.0000 0.5000 0.5000
0.5000 0.0000 0.0000
0.5000 0.5000 0.5000
0.2590 0.0000 0.5000
0.7410 0.0000 0.5000
0.2590 0.5000 0.0000
0.7410 0.5000 0.0000
0.0000 0.0000 0.0000
0.2571 0.0000 0.0000
0.7429 0.0000 0.0000
0.2578 0.5000 0.5000
0.7422 0.5000 0.5000
0.0000 0.0000 0.5000
0.5000 0.0000 0.5000
0.0000 0.5000 0.0000
0.5000 0.5000 0.0000
```

Values from the calculation:
Space group   P4/mmm (123)



#b
Here is a relaxed structure of HfMg6VO8 from the Materials Project. Energies are from PBE with a Hubbard U.

Structure (POSCAR):
```
HfMg6VO8
1.0
-0.9988 7.8991 -3.7594
-4.3370 -0.4054 0.3003
0.0963 1.8858 3.9368
Hf Mg V O
1 6 1 8
direct
0.5000 0.0000 0.0000
0.0000 0.5000 0.5000
0.5000 0.5000 0.5000
0.2420 0.0000 0.5000
0.7580 0.0000 0.5000
0.2420 0.5000 0.0000
0.7580 0.5000 0.0000
0.0000 0.0000 0.0000
0.2467 0.0000 0.0000
0.7533 0.0000 0.0000
0.2479 0.5000 0.5000
0.7521 0.5000 0.5000
0.0000 0.0000 0.5000
0.5000 0.0000 0.5000
0.0000 0.5000 0.0000
0.5000 0.5000 0.0000
```

Values from the calculation:
Space group   P4/mmm (123)



Which structure is most stable? #a, by 42 meV/atom over the runner-up.



#a
Here is a relaxed structure of Li3Mn2CoO6 from the Materials Project. Energies are from PBE with a Hubbard U.

Structure (POSCAR):
```
Li3Mn2CoO6
1.0
2.8212 -0.0124 0.4942
0.0940 9.7868 -0.8141
-2.7670 -0.0864 7.7733
Li Mn Co O
6 4 2 12
direct
0.2472 0.2462 0.4940
0.7528 0.7538 0.5060
0.5833 0.2447 0.1581
0.0771 0.7445 0.1575
0.9230 0.2555 0.8425
0.4167 0.7553 0.8419
0.6640 0.9954 0.3281
0.3360 0.0046 0.6719
0.1658 0.4942 0.3283
0.8341 0.5058 0.6717
0.0000 0.0000 0.0000
0.5000 0.5000 0.0000
0.4693 0.1125 0.9291
0.9335 0.6222 0.9289
0.0665 0.3778 0.0711
0.5308 0.8875 0.0709
0.1319 0.1123 0.2564
0.6264 0.6064 0.2447
0.3735 0.3936 0.7553
0.8682 0.8877 0.7436
0.8018 0.1192 0.5952
0.2963 0.6173 0.5896
0.7036 0.3827 0.4104
0.1983 0.8808 0.4048
```

Values from the calculation:
Space group   P-1 (2)



#b
Here is a relaxed structure of Li3Mn2CoO6 from the Materials Project. Energies are from PBE with a Hubbard U.

Structure (POSCAR):
```
Li3Mn2CoO6
1.0
1.4279 4.9076 0.0000
-1.4279 4.9076 0.0000
0.0000 4.2018 8.1526
Li Mn Co O
3 2 1 6
direct
0.3337 0.3337 0.8444
0.0000 0.0000 0.5000
0.6663 0.6663 0.1556
0.6694 0.6694 0.6728
0.3306 0.3306 0.3272
0.0000 0.0000 0.0000
0.3501 0.3501 0.0684
0.0158 0.0158 0.7507
0.6770 0.6770 0.4071
0.3230 0.3230 0.5929
0.9842 0.9842 0.2493
0.6499 0.6499 0.9316
```

Values from the calculation:
Space group   C2/m (12)



Which structure is most stable? #b, by 7 meV/atom over the runner-up.



#a
Here is a relaxed structure of Li3Mn2CoO6 from the Materials Project. Energies are from PBE with a Hubbard U.

Structure (POSCAR):
```
Li3Mn2CoO6
1.0
-4.9505 1.1877 -0.0018
-2.8777 -2.3925 3.4693
-0.6135 3.6948 3.4714
Li Mn Co O
3 2 1 6
direct
0.8575 0.3122 0.4926
0.1425 0.6878 0.5074
0.5000 0.0000 0.5000
0.3322 0.3329 0.9993
0.6678 0.6671 0.0007
0.0000 0.0000 0.0000
0.2395 0.0189 0.2337
0.5997 0.3287 0.2159
0.9001 0.6796 0.2372
0.4003 0.6713 0.7841
0.7605 0.9811 0.7663
0.0999 0.3204 0.7628
```

Values from the calculation:
Space group   P-1 (2)



#b
Here is a relaxed structure of Li3Mn2CoO6 from the Materials Project. Energies are from PBE with a Hubbard U.

Structure (POSCAR):
```
Li3Mn2CoO6
1.0
1.8036 -4.6057 1.3102
2.2639 4.1658 1.9243
-1.6003 -0.2618 4.9392
Li Mn Co O
3 2 1 6
direct
0.5000 0.5000 0.5000
0.8316 0.1684 0.5000
0.1684 0.8316 0.5000
0.3341 0.6659 0.0000
0.6659 0.3341 0.0000
0.0000 0.0000 0.0000
0.7221 0.7221 0.7705
0.0663 0.4197 0.7714
0.4197 0.0663 0.7714
0.2779 0.2779 0.2295
0.5803 0.9337 0.2286
0.9337 0.5803 0.2286
```

Values from the calculation:
Space group   C2/m (12)



Which structure is most stable? #b, by 9 meV/atom over the runner-up.



#a
Here is a relaxed structure of Li2TiFeO4 from the Materials Project. Energies are from PBE with a Hubbard U.

Structure (POSCAR):
```
Li2TiFeO4
1.0
-2.8820 -1.6433 2.3679
2.8895 -1.6787 2.3524
0.0596 7.1435 5.0280
Li Ti Fe O
4 2 2 8
direct
0.5000 0.9999 0.2479
0.5000 0.9999 0.7508
0.9999 0.0002 0.0017
0.5001 0.5002 0.5032
0.5000 0.5024 0.9989
0.0009 0.9999 0.4986
0.0000 0.4998 0.2533
0.0000 0.4999 0.7517
0.4999 0.9987 0.9992
0.4996 0.0002 0.4992
0.5000 0.4994 0.2278
0.9999 0.9998 0.2689
0.5000 0.4997 0.7694
0.9999 0.0000 0.7293
0.9999 0.4997 0.0000
0.9999 0.5003 0.5003
```

Values from the calculation:
Space group   Pm (6)



#b
Here is a relaxed structure of Li2TiFeO4 from the Materials Project. Energies are from PBE with a Hubbard U.

Structure (POSCAR):
```
Li2TiFeO4
1.0
3.0576 2.9919 4.2072
-6.0743 6.0878 0.0851
-2.9491 -2.9962 4.2803
Li Ti Fe O
8 4 4 16
direct
0.2495 0.2480 0.7462
0.7502 0.7481 0.2460
0.2503 0.2479 0.2478
0.7498 0.7479 0.7476
0.5040 0.4888 0.9928
0.9949 0.0033 0.5004
0.4959 0.9885 0.4941
0.0052 0.5035 0.9985
0.4764 0.5042 0.4927
0.0236 0.9922 0.0005
0.5235 0.0042 0.9931
0.9763 0.4923 0.4992
0.2501 0.7479 0.2462
0.7503 0.2480 0.2463
0.7497 0.2480 0.7463
0.2500 0.7479 0.7464
0.4902 0.2260 0.9962
0.0169 0.7259 0.4965
0.5096 0.7260 0.4958
0.9831 0.2258 0.9964
0.5168 0.2712 0.4960
0.9905 0.7708 0.9969
0.4833 0.7711 0.9962
0.0094 0.2709 0.4966
0.2423 0.0025 0.7676
0.7575 0.5026 0.2667
0.2421 0.0025 0.2293
0.7579 0.5025 0.7286
0.7419 0.9938 0.7639
0.2578 0.4937 0.2635
0.7424 0.9938 0.2259
0.2576 0.4939 0.7256
```

Values from the calculation:
Space group   P1 (1)



#c
Here is a relaxed structure of Li2TiFeO4 from the Materials Project. Energies are from PBE with a Hubbard U.

Structure (POSCAR):
```
Li2TiFeO4
1.0
-2.5814 -5.4526 -0.2742
-3.9760 1.5948 7.3251
-4.7012 2.3246 -2.9950
Li Ti Fe O
8 4 4 16
direct
0.5072 0.4974 0.9971
0.0061 0.9949 0.5004
0.2543 0.7502 0.2509
0.7516 0.2476 0.7514
0.2575 0.7469 0.7557
0.7571 0.2469 0.2569
0.0105 0.4993 0.0037
0.5092 0.9993 0.5037
0.0049 0.9989 0.0043
0.4994 0.4984 0.4944
0.7573 0.7476 0.2513
0.2480 0.2482 0.7463
0.2566 0.2464 0.2476
0.0007 0.5004 0.5037
0.7524 0.7494 0.7503
0.5037 0.9974 0.9991
0.5210 0.7537 0.0225
0.0292 0.2490 0.5119
0.2660 0.4980 0.2754
0.7760 0.9929 0.7675
0.7375 0.5042 0.7265
0.2296 0.9969 0.2290
0.4791 0.2427 0.9851
0.9822 0.7493 0.4764
0.7347 0.5088 0.2577
0.2387 0.0126 0.7584
0.0110 0.2378 0.9809
0.5118 0.7341 0.4850
0.9942 0.7597 0.0154
0.4960 0.2604 0.5176
0.2707 0.4859 0.7427
0.7689 0.9870 0.2410
```

Values from the calculation:
Space group   P1 (1)



Which structure is most stable? #b, by 8 meV/atom over the runner-up.